# 1
# Mg16Si8HO32, optimized geometry, DFT PBE-GGA
# Electronic total energy ... -6.71 eV per atom
# Formation energy from the elements ... -3049 meV per atom
# Polymorph energy (0 for the lowest one) ... 0.068 eV/atom
# Spin magnetization ... 0.00 μB per formula unit
# Space group ... No. 1
data_Mg16Si8HO32
_cell_length_a 5.805
_cell_length_b 8.408
_cell_length_c 11.605
_cell_angle_alpha 90.09
_cell_angle_beta 90.03
_cell_angle_gamma 90.16
_space_group_name_H-M_alt 'P 1'
_space_group_IT_number 1
loop_
_space_group_symop_operation_xyz
'x,y,z'
loop_
_atom_site_label
_atom_site_type_symbol
_atom_site_fract_x
_atom_site_fract_y
_atom_site_fract_z
Mg1 Mg 0.751 0.783 0.001
Mg2 Mg 0.250 0.217 0.001
Mg3 Mg 0.249 0.249 0.249
Mg4 Mg 0.254 0.246 0.753
Mg5 Mg 0.008 0.982 0.626
Mg6 Mg 0.501 0.000 0.377
Mg7 Mg 0.003 0.996 0.377
Mg8 Mg 0.503 0.000 0.623
Mg9 Mg 0.280 0.289 0.495
Mg10 Mg 0.749 0.720 0.499
Mg11 Mg 0.747 0.750 0.752
Mg12 Mg 0.750 0.751 0.249
Mg13 Mg 0.500 0.500 0.122
Mg14 Mg 0.004 0.501 0.879
Mg15 Mg 0.501 0.499 0.880
Mg16 Mg 0.001 0.501 0.122
Si1 Si 0.751 0.134 0.869
Si2 Si 0.749 0.134 0.131
Si3 Si 0.251 0.866 0.131
Si4 Si 0.251 0.865 0.871
Si5 Si 0.250 0.635 0.369
Si6 Si 0.250 0.631 0.631
Si7 Si 0.727 0.379 0.630
Si8 Si 0.748 0.369 0.367
H1 H 0.940 0.217 0.529
O1 O 0.753 0.036 0.000
O2 O 0.251 0.965 0.000
O3 O 0.751 0.537 0.000
O4 O 0.251 0.462 0.001
O5 O 0.752 0.006 0.759
O6 O 0.751 0.006 0.240
O7 O 0.250 0.995 0.240
O8 O 0.251 0.993 0.760
O9 O 0.965 0.255 0.612
O10 O 0.514 0.256 0.369
O11 O 0.488 0.744 0.373
O12 O 0.010 0.738 0.628
O13 O 0.012 0.744 0.373
O14 O 0.487 0.742 0.628
O15 O 0.504 0.259 0.628
O16 O 0.984 0.258 0.382
O17 O 0.249 0.535 0.499
O18 O 0.737 0.470 0.498
O19 O 0.250 0.041 0.502
O20 O 0.754 0.967 0.501
O21 O 0.250 0.504 0.261
O22 O 0.249 0.500 0.738
O23 O 0.751 0.496 0.742
O24 O 0.752 0.496 0.259
O25 O 0.488 0.757 0.128
O26 O 0.013 0.757 0.872
O27 O 0.988 0.243 0.868
O28 O 0.512 0.242 0.127
O29 O 0.513 0.242 0.873
O30 O 0.987 0.244 0.129
O31 O 0.013 0.757 0.128
O32 O 0.488 0.756 0.873

# 2
# NaMnTe2, optimized geometry, DFT PBE-GGA
# Electronic total energy ... -4.50 eV per atom
# Formation energy from the elements ... -514 meV per atom
# Spin magnetization ... 4.00 μB per formula unit
# Space group ... No. 156
data_NaMnTe2
_cell_length_a 4.296
_cell_length_b 4.296
_cell_length_c 7.912
_cell_angle_alpha 90.00
_cell_angle_beta 90.00
_cell_angle_gamma 120.00
_space_group_name_H-M_alt 'P 1'
_space_group_IT_number 1
loop_
_space_group_symop_operation_xyz
'x,y,z'
loop_
_atom_site_label
_atom_site_type_symbol
_atom_site_fract_x
_atom_site_fract_y
_atom_site_fract_z
Na1 Na 0.000 0.000 0.968
Mn1 Mn 0.333 0.667 0.397
Te1 Te 0.333 0.667 0.717
Te2 Te 0.667 0.333 0.253

# 3
# Nd2Fe15Co2, optimized geometry, DFT PBE-GGA
# Electronic total energy ... -7.89 eV per atom
# Formation energy from the elements ... 48 meV per atom
# Spin magnetization ... 38.25 μB per formula unit
# Space group ... No. 166
data_Nd2Fe15Co2
_cell_length_a 6.453
_cell_length_b 6.453
_cell_length_c 6.453
_cell_angle_alpha 83.08
_cell_angle_beta 83.08
_cell_angle_gamma 83.08
_space_group_name_H-M_alt 'P 1'
_space_group_IT_number 1
loop_
_space_group_symop_operation_xyz
'x,y,z'
loop_
_atom_site_label
_atom_site_type_symbol
_atom_site_fract_x
_atom_site_fract_y
_atom_site_fract_z
Nd1 Nd 0.658 0.658 0.658
Nd2 Nd 0.342 0.342 0.342
Fe1 Fe 0.000 0.000 0.500
Fe2 Fe 0.000 0.500 0.000
Fe3 Fe 0.500 0.000 0.000
Fe4 Fe 0.290 0.710 0.000
Fe5 Fe 0.710 0.000 0.290
Fe6 Fe 0.000 0.290 0.710
Fe7 Fe 0.290 0.000 0.710
Fe8 Fe 0.000 0.710 0.290
Fe9 Fe 0.710 0.290 0.000
Fe10 Fe 0.341 0.341 0.846
Fe11 Fe 0.341 0.846 0.341
Fe12 Fe 0.846 0.341 0.341
Fe13 Fe 0.659 0.659 0.154
Fe14 Fe 0.659 0.154 0.659
Fe15 Fe 0.154 0.659 0.659
Co1 Co 0.906 0.906 0.906
Co2 Co 0.094 0.094 0.094

# 4
# Fe9Se8, optimized geometry, DFT PBE-GGA
# Electronic total energy ... -6.33 eV per atom
# Formation energy from the elements ... -420 meV per atom
# Spin magnetization ... 8.03 μB per formula unit
# Space group ... No. 99
data_Fe9Se8
_cell_length_a 7.199
_cell_length_b 7.199
_cell_length_c 6.063
_cell_angle_alpha 90.00
_cell_angle_beta 90.00
_cell_angle_gamma 90.00
_space_group_name_H-M_alt 'P 1'
_space_group_IT_number 1
loop_
_space_group_symop_operation_xyz
'x,y,z'
loop_
_atom_site_label
_atom_site_type_symbol
_atom_site_fract_x
_atom_site_fract_y
_atom_site_fract_z
Fe1 Fe 0.000 0.243 0.232
Fe2 Fe 0.000 0.757 0.232
Fe3 Fe 0.757 0.000 0.232
Fe4 Fe 0.243 0.000 0.232
Fe5 Fe 0.751 0.500 0.249
Fe6 Fe 0.249 0.500 0.249
Fe7 Fe 0.500 0.249 0.249
Fe8 Fe 0.500 0.751 0.249
Fe9 Fe 0.000 0.000 0.563
Se1 Se 0.752 0.248 0.493
Se2 Se 0.248 0.752 0.493
Se3 Se 0.248 0.248 0.493
Se4 Se 0.752 0.752 0.493
Se5 Se 0.000 0.000 0.958
Se6 Se 0.000 0.500 0.999
Se7 Se 0.500 0.000 0.999
Se8 Se 0.500 0.500 0.009

# 5
# MgBi2O4, optimized geometry, DFT PBE-GGA
# Electronic total energy ... -5.59 eV per atom
# Formation energy from the elements ... -1814 meV per atom
# Polymorph energy (0 for the lowest one) ... 0.185 eV/atom
# Spin magnetization ... 0.00 μB per formula unit
# Space group ... No. 57
data_MgBi2O4
_cell_length_a 3.393
_cell_length_b 11.163
_cell_length_c 11.312
_cell_angle_alpha 90.00
_cell_angle_beta 90.00
_cell_angle_gamma 90.00
_space_group_name_H-M_alt 'P 1'
_space_group_IT_number 1
loop_
_space_group_symop_operation_xyz
'x,y,z'
loop_
_atom_site_label
_atom_site_type_symbol
_atom_site_fract_x
_atom_site_fract_y
_atom_site_fract_z
Mg1 Mg 0.023 0.857 0.250
Mg2 Mg 0.023 0.643 0.750
Mg3 Mg 0.977 0.357 0.250
Mg4 Mg 0.977 0.143 0.750
Bi1 Bi 0.689 0.618 0.421
Bi2 Bi 0.689 0.882 0.921
Bi3 Bi 0.311 0.382 0.921
Bi4 Bi 0.689 0.882 0.579
Bi5 Bi 0.311 0.382 0.579
Bi6 Bi 0.689 0.618 0.079
Bi7 Bi 0.311 0.118 0.079
Bi8 Bi 0.311 0.118 0.421
O1 O 0.169 0.473 0.119
O2 O 0.831 0.527 0.881
O3 O 0.165 0.750 0.000
O4 O 0.831 0.973 0.119
O5 O 0.831 0.973 0.381
O6 O 0.566 0.758 0.750
O7 O 0.169 0.027 0.881
O8 O 0.434 0.258 0.750
O9 O 0.165 0.750 0.500
O10 O 0.835 0.250 0.000
O11 O 0.169 0.473 0.381
O12 O 0.434 0.242 0.250
O13 O 0.566 0.742 0.250
O14 O 0.835 0.250 0.500
O15 O 0.169 0.027 0.619
O16 O 0.831 0.527 0.619

# 6
# CsTlF4, optimized geometry, DFT PBE-GGA
# Electronic total energy ... -4.01 eV per atom
# Formation energy from the elements ... -2502 meV per atom
# Spin magnetization ... 0.00 μB per formula unit
# Space group ... No. 29
data_CsTlF4
_cell_length_a 6.681
_cell_length_b 8.561
_cell_length_c 8.727
_cell_angle_alpha 90.00
_cell_angle_beta 90.00
_cell_angle_gamma 90.00
_space_group_name_H-M_alt 'P 1'
_space_group_IT_number 1
loop_
_space_group_symop_operation_xyz
'x,y,z'
loop_
_atom_site_label
_atom_site_type_symbol
_atom_site_fract_x
_atom_site_fract_y
_atom_site_fract_z
Cs1 Cs 0.513 0.197 0.802
Cs2 Cs 0.487 0.803 0.302
Cs3 Cs 0.487 0.697 0.802
Cs4 Cs 0.513 0.303 0.302
Tl1 Tl 0.001 0.994 0.553
Tl2 Tl 0.999 0.006 0.053
Tl3 Tl 0.999 0.494 0.553
Tl4 Tl 0.001 0.506 0.053
F1 F 0.292 0.061 0.496
F2 F 0.708 0.939 0.996
F3 F 0.708 0.561 0.496
F4 F 0.292 0.439 0.996
F5 F 0.093 0.013 0.803
F6 F 0.907 0.987 0.303
F7 F 0.907 0.513 0.803
F8 F 0.093 0.487 0.303
F9 F 0.122 0.744 0.560
F10 F 0.878 0.256 0.060
F11 F 0.878 0.244 0.560
F12 F 0.122 0.756 0.060
F13 F 0.291 0.420 0.606
F14 F 0.709 0.580 0.106
F15 F 0.709 0.920 0.606
F16 F 0.291 0.080 0.106